Entry 1:
Below is an optimized crystal structure of ZnP2O5, with properties calculated at the PBE level.

Results
Total magnetic moment: 0.250 μB/atom
Space group: P2_1/c

a b c (Å): 7.693 7.620 10.369
angles (deg): 78.70 90.00 90.00
Atoms (fractional coordinates):
Zn  0.545  0.810  0.601
Zn  0.045  0.190  0.899
Zn  0.455  0.190  0.399
Zn  0.955  0.810  0.101
P  0.677  0.963  0.853
P  0.177  0.037  0.647
P  0.323  0.037  0.147
P  0.823  0.963  0.353
P  0.877  0.536  0.690
P  0.377  0.464  0.810
P  0.123  0.464  0.310
P  0.623  0.536  0.190
O  0.854  0.975  0.922
O  0.354  0.025  0.578
O  0.146  0.025  0.078
O  0.646  0.975  0.422
O  0.707  0.923  0.716
O  0.207  0.077  0.784
O  0.293  0.077  0.284
O  0.793  0.923  0.216
O  0.715  0.590  0.607
O  0.215  0.410  0.893
O  0.285  0.410  0.393
O  0.785  0.590  0.107
O  0.896  0.335  0.739
O  0.396  0.665  0.761
O  0.104  0.665  0.261
O  0.604  0.335  0.239
O  0.355  0.714  0.494
O  0.855  0.286  0.006
O  0.645  0.286  0.506
O  0.145  0.714  0.994


Entry 2:
Below is an optimized crystal structure of ZrP2O9, with properties calculated at the PBE level.

Results
Total magnetic moment: 0.333 μB/atom
Space group: P2_1/c

a b c (Å): 5.406 9.152 15.820
angles (deg): 69.93 90.00 90.00
Atoms (fractional coordinates):
Zr  0.766  0.235  0.027
Zr  0.266  0.765  0.473
Zr  0.234  0.765  0.973
Zr  0.734  0.235  0.527
P  0.262  0.990  0.120
P  0.762  0.010  0.380
P  0.738  0.010  0.880
P  0.238  0.990  0.620
P  0.770  0.548  0.604
P  0.270  0.452  0.896
P  0.230  0.452  0.396
P  0.730  0.548  0.104
O  0.287  0.900  0.054
O  0.787  0.100  0.446
O  0.713  0.100  0.946
O  0.213  0.900  0.554
O  0.005  0.066  0.111
O  0.505  0.934  0.389
O  0.995  0.934  0.889
O  0.495  0.066  0.611
O  0.463  0.116  0.101
O  0.963  0.884  0.399
O  0.537  0.884  0.899
O  0.037  0.116  0.601
O  0.295  0.870  0.217
O  0.795  0.130  0.283
O  0.705  0.130  0.783
O  0.205  0.870  0.717
O  0.567  0.665  0.556
O  0.067  0.335  0.944
O  0.433  0.335  0.444
O  0.933  0.665  0.056
O  0.023  0.603  0.561
O  0.523  0.397  0.939
O  0.977  0.397  0.439
O  0.477  0.603  0.061
O  0.786  0.533  0.706
O  0.286  0.467  0.794
O  0.214  0.467  0.294
O  0.714  0.533  0.206
O  0.295  0.613  0.401
O  0.795  0.387  0.099
O  0.705  0.387  0.599
O  0.205  0.613  0.901
O  0.862  0.736  0.741
O  0.362  0.264  0.759
O  0.138  0.264  0.259
O  0.638  0.736  0.241


Entry 3:
Below is an optimized crystal structure of Zr2P2O9, with properties calculated at the PBE level.

Results
Space group: C2/m

a b c (Å): 7.737 7.737 10.273
angles (deg): 53.23 53.23 51.22
Atoms (fractional coordinates):
Zr  0.057  0.057  0.098
Zr  0.943  0.943  0.902
Zr  0.685  0.685  0.364
Zr  0.315  0.315  0.636
P  0.593  0.593  0.165
P  0.830  0.830  0.541
P  0.407  0.407  0.835
P  0.170  0.170  0.459
O  0.626  0.003  0.640
O  0.618  0.242  0.894
O  0.483  0.483  0.634
O  0.382  0.758  0.106
O  0.003  0.626  0.640
O  0.374  0.997  0.360
O  0.733  0.733  0.098
O  0.267  0.267  0.902
O  0.517  0.517  0.366
O  0.272  0.272  0.477
O  0.965  0.965  0.358
O  0.035  0.035  0.642
O  0.114  0.114  0.844
O  0.997  0.374  0.360
O  0.758  0.382  0.106
O  0.728  0.728  0.523
O  0.242  0.618  0.894
O  0.886  0.886  0.156


Entry 4:
Below is an optimized crystal structure of Zr2P4O17, with properties calculated at the PBE level.

Results
Energy above the lowest structure with this stoichiometry: 0.000 eV per atom
Total magnetic moment: 0.261 μB/atom
Space group: C2

a b c (Å): 5.476 5.476 15.426
angles (deg): 76.38 76.38 60.22
Atoms (fractional coordinates):
Zr  0.004  0.495  0.750
Zr  0.505  0.996  0.250
P  0.385  0.883  0.636
P  0.117  0.615  0.364
P  0.614  0.119  0.864
P  0.881  0.386  0.136
O  0.440  0.928  0.532
O  0.072  0.560  0.468
O  0.585  0.050  0.968
O  0.950  0.415  0.032
O  0.186  0.169  0.672
O  0.831  0.814  0.328
O  0.813  0.833  0.828
O  0.167  0.187  0.172
O  0.674  0.747  0.670
O  0.253  0.326  0.330
O  0.325  0.257  0.830
O  0.743  0.675  0.170
O  0.247  0.685  0.670
O  0.315  0.753  0.330
O  0.746  0.321  0.831
O  0.679  0.254  0.169
O  0.624  0.376  0.500


Entry 5:
Below is an optimized crystal structure of Zr2P3O12, with properties calculated at the PBE level.

Results
Space group: R-3c

a b c (Å): 9.131 9.131 9.131
angles (deg): 59.77 59.77 59.77
Atoms (fractional coordinates):
Zr  0.139  0.139  0.139
Zr  0.361  0.361  0.361
Zr  0.861  0.861  0.861
Zr  0.639  0.639  0.639
P  0.750  0.035  0.465
P  0.965  0.535  0.250
P  0.535  0.250  0.965
P  0.465  0.750  0.035
P  0.035  0.465  0.750
P  0.250  0.965  0.535
O  0.912  0.061  0.289
O  0.793  0.000  0.625
O  0.711  0.088  0.939
O  0.000  0.375  0.207
O  0.875  0.500  0.707
O  0.588  0.211  0.439
O  0.789  0.561  0.412
O  0.939  0.711  0.088
O  0.500  0.293  0.125
O  0.375  0.207  0.000
O  0.293  0.125  0.500
O  0.561  0.412  0.789
O  0.439  0.588  0.211
O  0.707  0.875  0.500
O  0.625  0.793  0.000
O  0.500  0.707  0.875
O  0.061  0.289  0.912
O  0.211  0.439  0.588
O  0.412  0.789  0.561
O  0.125  0.500  0.293
O  0.000  0.625  0.793
O  0.289  0.912  0.061
O  0.207  0.000  0.375
O  0.088  0.939  0.711


Entry 6:
Below is an optimized crystal structure of Zr3PO2, with properties calculated at the PBE level.

Results
Total magnetic moment: 0.000 μB/atom
Space group: P-3m1

a b c (Å): 3.432 3.432 8.480
angles (deg): 90.00 90.00 120.00
Atoms (fractional coordinates):
Zr  0.667  0.333  0.302
Zr  0.333  0.667  0.698
Zr  0.000  0.000  0.000
P  0.000  0.000  0.500
O  0.667  0.333  0.859
O  0.333  0.667  0.141


Entry 7:
Below is an optimized crystal structure of ZrP2O7, with properties calculated at the PBE level.

Results
Space group: Pa-3

a b c (Å): 8.551 8.551 8.551
angles (deg): 90.00 90.00 90.00
Atoms (fractional coordinates):
Zr  0.000  0.500  0.500
Zr  0.500  0.500  0.000
Zr  0.500  0.000  0.500
Zr  0.000  0.000  0.000
P  0.393  0.107  0.893
P  0.107  0.893  0.393
P  0.893  0.393  0.107
P  0.607  0.607  0.607
P  0.607  0.893  0.107
P  0.893  0.107  0.607
P  0.107  0.607  0.893
P  0.393  0.393  0.393
O  0.500  0.000  0.000
O  0.000  0.000  0.500
O  0.000  0.500  0.000
O  0.500  0.500  0.500
O  0.943  0.225  0.078
O  0.443  0.275  0.922
O  0.057  0.725  0.422
O  0.275  0.922  0.443
O  0.422  0.057  0.725
O  0.922  0.443  0.275
O  0.225  0.078  0.943
O  0.078  0.943  0.225
O  0.443  0.225  0.422
O  0.422  0.443  0.225
O  0.225  0.422  0.443
O  0.275  0.578  0.943
O  0.922  0.057  0.775
O  0.775  0.922  0.057
O  0.078  0.557  0.725
O  0.578  0.943  0.275
O  0.725  0.078  0.557
O  0.943  0.275  0.578
O  0.557  0.725  0.078
O  0.057  0.775  0.922
O  0.557  0.775  0.578
O  0.578  0.557  0.775
O  0.775  0.578  0.557
O  0.725  0.422  0.057


Entry 8:
Below is an optimized crystal structure of ZrP2O7, with properties calculated at the PBE level.

Results
Space group: Pnnm

a b c (Å): 5.482 6.863 8.570
angles (deg): 90.00 90.00 90.00
Atoms (fractional coordinates):
Zr  0.000  0.500  0.000
Zr  0.500  0.000  0.500
P  0.000  0.312  0.393
P  0.500  0.812  0.107
P  0.500  0.188  0.893
P  0.000  0.688  0.607
O  0.269  0.699  0.067
O  0.500  0.883  0.275
O  0.000  0.383  0.225
O  0.231  0.199  0.433
O  0.000  0.617  0.775
O  0.731  0.301  0.933
O  0.231  0.801  0.567
O  0.500  0.117  0.725
O  0.769  0.801  0.567
O  0.269  0.301  0.933
O  0.000  0.500  0.500
O  0.769  0.199  0.433
O  0.731  0.699  0.067
O  0.500  0.000  0.000


Entry 9:
Below is an optimized crystal structure of Zr2P4O17, with properties calculated at the PBE level.

Results
Energy above the lowest structure with this stoichiometry: 0.005 eV per atom
Total magnetic moment: 0.261 μB/atom
Space group: P2/m

a b c (Å): 5.484 8.105 9.519
angles (deg): 67.05 90.00 90.00
Atoms (fractional coordinates):
Zr  0.000  0.000  0.000
Zr  0.500  0.000  0.500
P  0.500  0.771  0.243
P  0.000  0.771  0.742
P  0.500  0.229  0.757
P  0.000  0.229  0.258
O  0.500  0.841  0.372
O  0.000  0.839  0.873
O  0.271  0.840  0.144
O  0.771  0.842  0.643
O  0.729  0.840  0.144
O  0.229  0.842  0.643
O  0.500  0.159  0.628
O  0.000  0.161  0.127
O  0.729  0.160  0.856
O  0.229  0.158  0.357
O  0.271  0.160  0.856
O  0.771  0.158  0.357
O  0.500  0.564  0.313
O  0.000  0.564  0.811
O  0.500  0.436  0.687
O  0.000  0.436  0.189
O  0.000  0.500  0.500


Entry 10:
Below is an optimized crystal structure of Zr6P2O, with properties calculated at the PBE level.

Results
Space group: C2/m

a b c (Å): 5.707 5.707 8.433
angles (deg): 88.21 88.21 36.10
Atoms (fractional coordinates):
Zr  0.862  0.862  0.550
Zr  0.138  0.138  0.450
Zr  0.860  0.860  0.941
Zr  0.140  0.140  0.059
Zr  0.563  0.563  0.754
Zr  0.437  0.437  0.246
P  0.254  0.254  0.751
P  0.746  0.746  0.249
O  0.500  0.500  0.500


Entry 11:
Below is an optimized crystal structure of Zr2P3O12, with properties calculated at the PBE level.

Results
Total magnetic moment: 0.059 μB/atom
Space group: P2_1/c

a b c (Å): 9.116 9.069 15.519
angles (deg): 54.80 90.00 90.00
Atoms (fractional coordinates):
Zr  0.471  0.630  0.120
Zr  0.537  0.132  0.619
Zr  0.971  0.370  0.380
Zr  0.037  0.868  0.881
Zr  0.963  0.132  0.119
Zr  0.029  0.630  0.620
Zr  0.463  0.868  0.381
Zr  0.529  0.370  0.880
P  0.251  0.463  0.506
P  0.115  0.749  0.144
P  0.396  0.031  0.858
P  0.896  0.969  0.642
P  0.615  0.251  0.356
P  0.751  0.537  0.994
P  0.249  0.463  0.006
P  0.385  0.749  0.644
P  0.104  0.031  0.358
P  0.604  0.969  0.142
P  0.885  0.251  0.856
P  0.749  0.537  0.494
O  0.598  0.804  0.137
O  0.654  0.370  0.567
O  0.833  0.515  0.416
O  0.919  0.094  0.847
O  0.143  0.442  0.437
O  0.280  0.704  0.163
O  0.071  0.802  0.034
O  0.348  0.293  0.569
O  0.499  0.062  0.770
O  0.024  0.582  0.228
O  0.237  0.006  0.835
O  0.445  0.861  0.964
O  0.524  0.418  0.272
O  0.945  0.139  0.536
O  0.737  0.994  0.665
O  0.999  0.938  0.730
O  0.571  0.198  0.466
O  0.848  0.707  0.931
O  0.780  0.296  0.337
O  0.643  0.558  0.063
O  0.333  0.485  0.084
O  0.419  0.906  0.653
O  0.098  0.196  0.363
O  0.154  0.630  0.933
O  0.846  0.370  0.067
O  0.902  0.804  0.637
O  0.581  0.094  0.347
O  0.667  0.515  0.916
O  0.357  0.442  0.937
O  0.220  0.704  0.663
O  0.152  0.293  0.069
O  0.429  0.802  0.534
O  0.001  0.062  0.270
O  0.263  0.006  0.335
O  0.055  0.861  0.464
O  0.476  0.582  0.728
O  0.555  0.139  0.036
O  0.763  0.994  0.165
O  0.976  0.418  0.772
O  0.501  0.938  0.230
O  0.652  0.707  0.431
O  0.929  0.198  0.966
O  0.720  0.296  0.837
O  0.857  0.558  0.563
O  0.081  0.906  0.153
O  0.167  0.485  0.584
O  0.346  0.630  0.433
O  0.402  0.196  0.863


Entry 12:
Below is an optimized crystal structure of Zr2P2O9, with properties calculated at the PBE level.

Results
Space group: Cmce

a b c (Å): 5.543 5.543 12.037
angles (deg): 90.00 90.00 105.04
Atoms (fractional coordinates):
Zr  0.706  0.294  0.937
Zr  0.794  0.206  0.437
Zr  0.294  0.706  0.063
Zr  0.206  0.794  0.563
P  0.607  0.393  0.647
P  0.893  0.107  0.147
P  0.393  0.607  0.353
P  0.107  0.893  0.853
O  0.437  0.563  0.624
O  0.063  0.937  0.124
O  0.563  0.437  0.376
O  0.937  0.063  0.876
O  0.000  0.000  0.500
O  0.500  0.500  0.000
O  0.139  0.861  0.729
O  0.361  0.639  0.229
O  0.365  0.984  0.915
O  0.135  0.516  0.415
O  0.984  0.365  0.085
O  0.516  0.135  0.585
O  0.635  0.016  0.085
O  0.865  0.484  0.585
O  0.016  0.635  0.915
O  0.484  0.865  0.415
O  0.639  0.361  0.771
O  0.861  0.139  0.271


So what do the calculations give for formation energy? Going down the list: -1.3838; -2.2875; -3.2975; -2.4414; -3.0750; -2.0867; -3.1070; -3.1066; -2.4360; -1.3821; -3.0756; -3.2967 eV per atom.